LiTaNbAg2O6, optimized geometry, DFT PBE; ΔH_f (0 K) = -2.13 eV/atom; MP2020-corrected energy = -7.51 eV/atom; total magnetization = 0.00 Bohr magnetons per cell; volume = 136 Å³ per cell; E above lowest polymorph = 1.0 meV per atom; energy = -7.139 eV per atom
1.0
2.046 -3.508 0.391
-3.348 -2.068 -1.075
2.248 0.438 -7.843
Li Ta Nb Ag O
1 1 1 2 6
Cartesian
0.562 0.109 -1.961
1.035 -2.460 -6.225
-0.089 -2.679 -2.303
2.128 0.414 -7.423
1.245 0.242 -4.342
1.585 -1.645 -1.765
2.709 -1.426 -5.687
1.589 -2.352 -8.157
0.481 -2.568 -4.292
-1.112 -0.924 -2.498
0.012 -0.706 -6.420